No. 1
Er2Mo4O15 after structural relaxation. Source: the Materials Project, functional r2SCAN.

POSCAR file:
```
Er2Mo4O15
1.0
9.526 0.000 0.000
0.000 6.762 0.000
0.000 2.752 10.122
Er Mo O
4 8 30
Direct
0.523 0.712 0.224
0.477 0.288 0.776
0.023 0.288 0.276
0.977 0.712 0.724
0.743 0.419 0.011
0.257 0.581 0.989
0.243 0.581 0.489
0.757 0.419 0.511
0.904 0.880 0.157
0.096 0.120 0.843
0.404 0.120 0.343
0.596 0.880 0.657
0.722 0.888 0.148
0.278 0.112 0.852
0.222 0.112 0.352
0.778 0.888 0.648
0.625 0.523 0.103
0.375 0.477 0.897
0.125 0.477 0.397
0.875 0.523 0.603
0.348 0.720 0.083
0.652 0.280 0.917
0.848 0.280 0.417
0.152 0.720 0.583
0.000 0.000 0.000
0.500 0.000 0.500
0.666 0.620 0.400
0.334 0.380 0.600
0.166 0.380 0.100
0.834 0.620 0.900
0.972 0.948 0.294
0.028 0.052 0.706
0.472 0.052 0.206
0.528 0.948 0.794
0.944 0.621 0.183
0.056 0.379 0.817
0.444 0.379 0.317
0.556 0.621 0.683
0.865 0.255 0.118
0.135 0.745 0.882
0.365 0.745 0.382
0.635 0.255 0.618
```

Output
* total DFT energy (no corrections): -634.6 eV for the cell shown

=====

No. 2
BaGa2H2 after structural relaxation. Source: the Materials Project, functional r2SCAN.

POSCAR file:
```
BaGa2H2
1.0
0.008 1.499 4.271
-2.669 -3.460 -1.179
3.651 -3.198 1.116
Ba Ga H
1 2 2
Direct
0.000 0.000 0.000
0.333 0.667 0.469
0.667 0.333 0.531
0.333 0.667 0.133
0.667 0.333 0.867
```

Output
* total DFT energy (no corrections): -58.9 eV for the cell shown

=====

No. 3
Ho3ReB7 after structural relaxation. Source: the Materials Project, functional r2SCAN.

POSCAR file:
```
Ho3ReB7
1.0
-4.443 6.337 -2.204
1.187 -7.351 3.052
1.059 3.695 8.487
Ho Re B
6 2 14
Direct
0.895 0.105 0.060
0.105 0.895 0.560
0.105 0.895 0.940
0.895 0.105 0.440
0.242 0.758 0.250
0.758 0.242 0.750
0.053 0.947 0.250
0.947 0.053 0.750
0.456 0.544 0.250
0.544 0.456 0.750
0.727 0.273 0.034
0.273 0.727 0.534
0.273 0.727 0.966
0.727 0.273 0.466
0.632 0.368 0.350
0.368 0.632 0.850
0.368 0.632 0.650
0.632 0.368 0.150
0.520 0.480 0.405
0.480 0.520 0.905
0.480 0.520 0.595
0.520 0.480 0.095
```

Output
* total DFT energy (no corrections): -420.4 eV for the cell shown

=====

No. 4
Ta2AlC after structural relaxation. Source: the Materials Project, functional r2SCAN.

POSCAR file:
```
Ta2AlC
1.0
1.536 -2.661 0.000
1.536 2.661 0.000
0.000 0.000 15.678
Ta Al C
4 2 2
Direct
0.333 0.667 0.420
0.667 0.333 0.580
0.667 0.333 0.920
0.333 0.667 0.080
0.667 0.333 0.750
0.333 0.667 0.250
0.000 0.000 0.500
0.000 0.000 0.000
```

Output
* total DFT energy (no corrections): -227.9 eV for the cell shown

=====

No. 5
Ce3GaBr3 after structural relaxation. Source: the Materials Project, functional r2SCAN.

POSCAR file:
```
Ce3GaBr3
1.0
-3.786 4.397 1.819
-2.423 -3.782 4.099
4.095 1.827 4.106
Ce Ga Br
3 1 3
Direct
0.000 0.500 0.500
0.500 0.500 0.000
0.500 0.000 0.500
0.500 0.500 0.500
0.000 0.500 0.000
0.500 0.000 0.000
0.000 0.000 0.500
```

Output
* total DFT energy (no corrections): -154.4 eV for the cell shown

=====

No. 6
Tl2VF6 after structural relaxation. Source: the Materials Project, functional r2SCAN.

POSCAR file:
```
Tl2VF6
1.0
-0.487 -1.215 5.860
-2.393 4.061 3.719
-5.406 -0.969 2.426
Tl V F
2 1 6
Direct
0.250 0.250 0.250
0.750 0.750 0.750
0.000 0.000 0.000
0.782 0.218 0.218
0.218 0.782 0.782
0.218 0.782 0.218
0.782 0.218 0.782
0.218 0.218 0.782
0.782 0.782 0.218
```

Output
* total DFT energy (no corrections): -162.7 eV for the cell shown